No. 1
La2TiCuO6: optimized geometry, GGA-PBE.

a b c (Å): 5.617 5.746 9.593
angles (deg): 90.00 125.52 90.00
Space group P2_1/c (No. 14)
Inequivalent atoms, fractional coordinates:
La 0.239 0.047 0.251 [4 per cell]
Ti 0.000 0.000 0.500 [2 per cell]
Cu 0.500 0.000 0.000 [2 per cell]
O 0.151 0.222 0.951 [4 per cell]
O 0.230 0.701 0.953 [4 per cell]
O 0.334 0.025 0.746 [4 per cell]

Summary:
- Total energy: -7.94 eV/atom
- Energy relative to the elements: -3193.0 meV per atom

No. 2
La3Zr2Cu7O12: optimized geometry, GGA-PBE.

a b c (Å): 13.698 13.698 12.712
angles (deg): 90.00 90.00 90.00
Space group I4_1/acd (No. 142, origin choice 2)
Inequivalent atoms, fractional coordinates:
La 0.000 0.250 0.125 [8 per cell]
La 0.128 0.000 0.250 [16 per cell]
Zr 0.000 0.000 0.000 [16 per cell]
Cu 0.000 0.250 0.375 [8 per cell]
Cu 0.090 0.087 0.809 [32 per cell]
Cu 0.171 0.079 0.625 [16 per cell]
O 0.023 0.064 0.655 [32 per cell]
O 0.058 0.141 0.967 [32 per cell]
O 0.145 0.019 0.443 [32 per cell]

Summary:
- Total energy: -6.90 eV/atom
- Energy relative to the elements: -2244.8 meV per atom

No. 3
La5Cu19P12: optimized geometry, GGA-PBE.

a b c (Å): 12.7284 12.7284 3.9790
angles (deg): 90.00 90.00 120.00
Space group P-62m (No. 189)
Inequivalent atoms, fractional coordinates:
La 0.0000 0.8075 0.0000 [3 per cell]
La 0.3333 0.6667 0.5000 [2 per cell]
Cu 0.0000 0.0000 0.5000 [1 per cell]
Cu 0.0000 0.2886 0.0000 [3 per cell]
Cu 0.0000 0.4504 0.5000 [3 per cell]
Cu 0.1177 0.6344 0.0000 [6 per cell]
Cu 0.1718 0.3789 0.5000 [6 per cell]
P 0.0000 0.1768 0.5000 [3 per cell]
P 0.0000 0.6309 0.5000 [3 per cell]
P 0.1726 0.4796 0.0000 [6 per cell]

Summary:
- Total energy: -5.19 eV/atom
- Energy relative to the elements: -537.9 meV per atom

No. 4
LaCu4P3: optimized geometry, GGA-PBE.

a b c (Å): 5.789 5.789 7.366
angles (deg): 90.00 90.00 90.00
Space group P4/nmm (No. 129, origin choice 2)
Inequivalent atoms, fractional coordinates:
La 0.250 0.250 0.020 [2 per cell]
Cu 0.017 0.017 0.673 [8 per cell]
P 0.250 0.250 0.476 [2 per cell]
P 0.250 0.750 0.154 [4 per cell]

Summary:
- Total energy: -5.19 eV/atom
- Energy relative to the elements: -491.9 meV per atom

No. 5
LaCuPbS3: optimized geometry, GGA-PBE.

a b c (Å): 8.114 4.158 16.041
angles (deg): 90.00 90.00 90.00
Space group Pnma (No. 62)
Inequivalent atoms, fractional coordinates:
La 0.249 0.250 0.039 [4 per cell]
Cu 0.123 0.250 0.367 [4 per cell]
Pb 0.088 0.250 0.779 [4 per cell]
S 0.011 0.250 0.598 [4 per cell]
S 0.123 0.750 0.936 [4 per cell]
S 0.181 0.250 0.221 [4 per cell]

Summary:
- Total energy: -5.33 eV/atom
- Energy relative to the elements: -1390.5 meV per atom

No. 6
LaCuPd: optimized geometry, GGA-PBE.

a b c (Å): 7.4185 7.4185 4.0304
angles (deg): 90.00 90.00 120.00
Space group P-62m (No. 189)
Inequivalent atoms, fractional coordinates:
La 0.0000 0.6000 0.0000 [3 per cell]
Cu 0.0000 0.2439 0.5000 [3 per cell]
Pd 0.0000 0.0000 0.0000 [1 per cell]
Pd 0.3333 0.6667 0.5000 [2 per cell]

Summary:
- Total energy: -5.28 eV/atom
- Energy relative to the elements: -538.2 meV per atom